First-principles (PBE-GGA) data for a relaxed structure of Mn2OsN3, as listed in the Materials Project.

a b c (Å): 5.1795 5.4940 4.9443
angles (deg): 90.00 90.00 122.03
Last column: nearest neighbours and their distance in Å.
Sites, in units of the cell vectors:
N 0.6759 0.7307 0.3846  3 Mn 1.85-1.88, 1 Os 2.00
N 0.3241 0.2693 0.8846  3 Mn 1.85-1.88, 1 Os 2.00
N 0.0000 0.7121 0.8340  2 Mn 1.88, 2 Os 2.00
N 0.3241 0.0547 0.3846  3 Mn 1.85-1.88, 1 Os 2.00
N 0.0000 0.2879 0.3340  2 Mn 1.88, 2 Os 2.00
N 0.6759 0.9453 0.8846  3 Mn 1.85-1.88, 1 Os 2.00
Os 0.0000 0.3595 0.9375  4 N 2.00
Os 0.0000 0.6405 0.4375  4 N 2.00
Mn 0.6409 0.0311 0.5236  4 N 1.85-1.88
Mn 0.6409 0.6099 0.0236  4 N 1.85-1.88
Mn 0.3591 0.3901 0.5236  4 N 1.85-1.88
Mn 0.3591 0.9689 0.0236  4 N 1.85-1.88

## Properties
**Total moment**: 0.08 μB per formula unit
**Final energy**: -9.0598 eV per atom